No. 1
Compound: HoN
Source: Materials Project
Functional: GGA-PBE
Structure: optimized geometry

Calculated values
Space group: Fm-3m, No. 225
Energy relative to the elements in eV per atom: -1.919
Uncorrected energy in eV per atom: -8.197

Cell and atoms, written as CIF:
```
data_HoN
_chemical_formula_sum 'Ho1 N1'
_cell_length_a 3.450
_cell_length_b 3.450
_cell_length_c 3.450
_cell_angle_alpha 60.00
_cell_angle_beta 60.00
_cell_angle_gamma 60.00
_symmetry_space_group_name_H-M 'P 1'
_symmetry_Int_Tables_number 1
loop_
_symmetry_equiv_pos_as_xyz
'x,y,z'
loop_
_atom_site_label
_atom_site_fract_x
_atom_site_fract_y
_atom_site_fract_z
_atom_site_occupancy
Ho1 0.000 0.000 0.000 1
N1 0.500 0.500 0.500 1
```



No. 2
Compound: Na3HoTi2Nb2O12
Source: Materials Project
Functional: GGA-PBE
Structure: optimized geometry

Calculated values
Space group: P1, No. 1
Magnetic moment in Bohr magnetons per cell: 0.000
Energy relative to the elements in eV per atom: -3.138
Uncorrected energy in eV per atom: -7.922
ΔE to the lowest computed polymorph in meV per atom: 4

Cell and atoms, written as CIF:
```
data_Na3HoTi2Nb2O12
_chemical_formula_sum 'Na3 Ho1 Ti2 Nb2 O12'
_cell_length_a 5.441
_cell_length_b 5.596
_cell_length_c 7.771
_cell_angle_alpha 89.89
_cell_angle_beta 89.96
_cell_angle_gamma 89.24
_symmetry_space_group_name_H-M 'P 1'
_symmetry_Int_Tables_number 1
loop_
_symmetry_equiv_pos_as_xyz
'x,y,z'
loop_
_atom_site_label
_atom_site_fract_x
_atom_site_fract_y
_atom_site_fract_z
_atom_site_occupancy
Na1 0.491 0.531 0.748 1
Na2 0.003 0.021 0.750 1
Na3 0.509 0.462 0.250 1
Ho1 0.990 0.934 0.250 1
Ti1 0.489 0.983 0.007 1
Ti2 0.004 0.477 0.493 1
Nb1 0.494 0.993 0.511 1
Nb2 0.003 0.478 0.989 1
O1 0.569 0.984 0.753 1
O2 0.919 0.488 0.747 1
O3 0.399 0.028 0.247 1
O4 0.078 0.533 0.253 1
O5 0.205 0.804 0.976 1
O6 0.293 0.303 0.537 1
O7 0.807 0.209 0.446 1
O8 0.719 0.734 0.053 1
O9 0.805 0.206 0.055 1
O10 0.723 0.731 0.447 1
O11 0.202 0.803 0.526 1
O12 0.300 0.299 0.961 1
```



No. 3
Compound: Na3HoTi2Nb2O12
Source: Materials Project
Functional: GGA-PBE
Structure: optimized geometry

Calculated values
Space group: Pmc2_1, No. 26
Magnetic moment in Bohr magnetons per cell: 0.003
Energy relative to the elements in eV per atom: -3.142
Uncorrected energy in eV per atom: -7.925
ΔE to the lowest computed polymorph in meV per atom: 0

Cell and atoms, written as CIF:
```
data_Na3HoTi2Nb2O12
_chemical_formula_sum 'Na6 Ho2 Ti4 Nb4 O24'
_cell_length_a 5.459
_cell_length_b 5.638
_cell_length_c 15.439
_cell_angle_alpha 90.00
_cell_angle_beta 90.00
_cell_angle_gamma 90.00
_symmetry_space_group_name_H-M 'P 1'
_symmetry_Int_Tables_number 1
loop_
_symmetry_equiv_pos_as_xyz
'x,y,z'
loop_
_atom_site_label
_atom_site_fract_x
_atom_site_fract_y
_atom_site_fract_z
_atom_site_occupancy
Na1 0.757 0.963 0.248 1
Na2 0.757 0.963 0.752 1
Na3 0.243 0.463 0.752 1
Na4 0.243 0.463 0.248 1
Na5 0.260 0.521 0.500 1
Na6 0.740 0.021 0.500 1
Ho1 0.264 0.569 0.000 1
Ho2 0.736 0.069 0.000 1
Ti1 0.764 0.529 0.873 1
Ti2 0.764 0.529 0.127 1
Ti3 0.236 0.029 0.127 1
Ti4 0.236 0.029 0.873 1
Nb1 0.748 0.481 0.372 1
Nb2 0.748 0.481 0.628 1
Nb3 0.252 0.981 0.628 1
Nb4 0.252 0.981 0.372 1
O1 0.853 0.461 0.000 1
O2 0.834 0.490 0.500 1
O3 0.966 0.222 0.350 1
O4 0.948 0.194 0.138 1
O5 0.966 0.222 0.650 1
O6 0.948 0.194 0.862 1
O7 0.052 0.694 0.138 1
O8 0.034 0.722 0.350 1
O9 0.034 0.722 0.650 1
O10 0.052 0.694 0.862 1
O11 0.147 0.961 0.000 1
O12 0.166 0.990 0.500 1
O13 0.330 0.023 0.245 1
O14 0.330 0.023 0.755 1
O15 0.465 0.286 0.395 1
O16 0.451 0.281 0.909 1
O17 0.451 0.281 0.091 1
O18 0.465 0.286 0.605 1
O19 0.549 0.781 0.909 1
O20 0.549 0.781 0.091 1
O21 0.535 0.786 0.395 1
O22 0.535 0.786 0.605 1
O23 0.670 0.523 0.245 1
O24 0.670 0.523 0.755 1
```



No. 4
Compound: NaHoP2O7
Source: Materials Project
Functional: GGA-PBE
Structure: optimized geometry

Calculated values
Space group: P2_1/c, No. 14
Energy relative to the elements in eV per atom: -3.116
Uncorrected energy in eV per atom: -7.348

Cell and atoms, written as CIF:
```
data_NaHoP2O7
_chemical_formula_sum 'Na4 Ho4 P8 O28'
_cell_length_a 5.418
_cell_length_b 8.745
_cell_length_c 14.173
_cell_angle_alpha 69.84
_cell_angle_beta 90.00
_cell_angle_gamma 90.00
_symmetry_space_group_name_H-M 'P 1'
_symmetry_Int_Tables_number 1
loop_
_symmetry_equiv_pos_as_xyz
'x,y,z'
loop_
_atom_site_label
_atom_site_fract_x
_atom_site_fract_y
_atom_site_fract_z
_atom_site_occupancy
Na1 0.223 0.944 0.335 1
Na2 0.277 0.944 0.835 1
Na3 0.777 0.056 0.665 1
Na4 0.723 0.056 0.165 1
Ho1 0.732 0.248 0.853 1
Ho2 0.768 0.248 0.353 1
Ho3 0.268 0.752 0.147 1
Ho4 0.232 0.752 0.647 1
P1 0.214 0.188 0.023 1
P2 0.286 0.188 0.523 1
P3 0.786 0.812 0.977 1
P4 0.714 0.812 0.477 1
P5 0.246 0.314 0.187 1
P6 0.254 0.314 0.687 1
P7 0.754 0.686 0.813 1
P8 0.746 0.686 0.313 1
O1 0.366 0.234 0.927 1
O2 0.134 0.234 0.427 1
O3 0.634 0.766 0.073 1
O4 0.866 0.766 0.573 1
O5 0.297 0.028 0.103 1
O6 0.203 0.028 0.603 1
O7 0.703 0.972 0.897 1
O8 0.797 0.972 0.397 1
O9 0.935 0.190 0.002 1
O10 0.565 0.190 0.502 1
O11 0.065 0.810 0.998 1
O12 0.435 0.810 0.498 1
O13 0.271 0.329 0.070 1
O14 0.229 0.329 0.570 1
O15 0.729 0.671 0.930 1
O16 0.771 0.671 0.430 1
O17 0.234 0.488 0.185 1
O18 0.266 0.488 0.685 1
O19 0.766 0.512 0.815 1
O20 0.734 0.512 0.315 1
O21 0.010 0.216 0.228 1
O22 0.490 0.216 0.728 1
O23 0.990 0.784 0.772 1
O24 0.510 0.784 0.272 1
O25 0.474 0.220 0.243 1
O26 0.026 0.220 0.743 1
O27 0.526 0.780 0.757 1
O28 0.974 0.780 0.257 1
```



No. 5
Compound: NaHoP4O12
Source: Materials Project
Functional: GGA-PBE
Structure: optimized geometry

Calculated values
Space group: P2_1/c, No. 14
Magnetic moment in Bohr magnetons per cell: 0.001
Energy relative to the elements in eV per atom: -2.906
Uncorrected energy in eV per atom: -7.278

Cell and atoms, written as CIF:
```
data_NaHoP4O12
_chemical_formula_sum 'Na4 Ho4 P16 O48'
_cell_length_a 13.162
_cell_length_b 7.241
_cell_length_c 12.164
_cell_angle_alpha 53.67
_cell_angle_beta 90.00
_cell_angle_gamma 90.00
_symmetry_space_group_name_H-M 'P 1'
_symmetry_Int_Tables_number 1
loop_
_symmetry_equiv_pos_as_xyz
'x,y,z'
loop_
_atom_site_label
_atom_site_fract_x
_atom_site_fract_y
_atom_site_fract_z
_atom_site_occupancy
Na1 0.722 0.563 0.937 1
Na2 0.778 0.563 0.437 1
Na3 0.278 0.437 0.063 1
Na4 0.222 0.437 0.563 1
Ho1 0.719 0.964 0.023 1
Ho2 0.781 0.964 0.523 1
Ho3 0.281 0.036 0.977 1
Ho4 0.219 0.036 0.477 1
P1 0.872 0.155 0.198 1
P2 0.628 0.155 0.698 1
P3 0.128 0.845 0.802 1
P4 0.372 0.845 0.302 1
P5 0.897 0.494 0.255 1
P6 0.603 0.494 0.755 1
P7 0.103 0.506 0.745 1
P8 0.397 0.506 0.245 1
P9 0.115 0.612 0.263 1
P10 0.385 0.612 0.763 1
P11 0.885 0.388 0.737 1
P12 0.615 0.388 0.237 1
P13 0.092 0.066 0.201 1
P14 0.408 0.066 0.701 1
P15 0.908 0.934 0.799 1
P16 0.592 0.934 0.299 1
O1 0.649 0.602 0.103 1
O2 0.851 0.602 0.603 1
O3 0.351 0.398 0.897 1
O4 0.149 0.398 0.397 1
O5 0.611 0.305 0.906 1
O6 0.889 0.305 0.406 1
O7 0.389 0.695 0.094 1
O8 0.111 0.695 0.594 1
O9 0.790 0.169 0.106 1
O10 0.710 0.169 0.606 1
O11 0.210 0.831 0.894 1
O12 0.290 0.831 0.394 1
O13 0.866 0.976 0.349 1
O14 0.634 0.976 0.849 1
O15 0.134 0.024 0.651 1
O16 0.366 0.024 0.151 1
O17 0.979 0.146 0.137 1
O18 0.521 0.146 0.637 1
O19 0.021 0.854 0.863 1
O20 0.479 0.854 0.363 1
O21 0.874 0.406 0.164 1
O22 0.626 0.406 0.664 1
O23 0.126 0.594 0.836 1
O24 0.374 0.594 0.336 1
O25 0.833 0.705 0.201 1
O26 0.667 0.705 0.701 1
O27 0.167 0.295 0.799 1
O28 0.333 0.295 0.299 1
O29 0.013 0.574 0.209 1
O30 0.487 0.574 0.709 1
O31 0.987 0.426 0.791 1
O32 0.513 0.426 0.291 1
O33 0.081 0.790 0.294 1
O34 0.419 0.790 0.794 1
O35 0.919 0.210 0.706 1
O36 0.581 0.210 0.206 1
O37 0.189 0.723 0.146 1
O38 0.311 0.723 0.646 1
O39 0.811 0.277 0.854 1
O40 0.689 0.277 0.354 1
O41 0.113 0.131 0.296 1
O42 0.387 0.131 0.796 1
O43 0.887 0.869 0.704 1
O44 0.613 0.869 0.204 1
O45 0.163 0.154 0.083 1
O46 0.337 0.154 0.583 1
O47 0.837 0.846 0.917 1
O48 0.663 0.846 0.417 1
```



No. 6
Compound: Na3HoP2O8
Source: Materials Project
Functional: GGA-PBE
Structure: optimized geometry

Calculated values
Space group: Pca2_1, No. 29
Magnetic moment in Bohr magnetons per cell: 0.000
Energy relative to the elements in eV per atom: -2.951
Uncorrected energy in eV per atom: -6.770

Cell and atoms, written as CIF:
```
data_Na3HoP2O8
_chemical_formula_sum 'Na24 Ho8 P16 O64'
_cell_length_a 5.305
_cell_length_b 13.903
_cell_length_c 18.542
_cell_angle_alpha 90.00
_cell_angle_beta 90.00
_cell_angle_gamma 90.00
_symmetry_space_group_name_H-M 'P 1'
_symmetry_Int_Tables_number 1
loop_
_symmetry_equiv_pos_as_xyz
'x,y,z'
loop_
_atom_site_label
_atom_site_fract_x
_atom_site_fract_y
_atom_site_fract_z
_atom_site_occupancy
Na1 0.990 0.217 0.992 1
Na2 0.010 0.783 0.492 1
Na3 0.010 0.717 0.992 1
Na4 0.990 0.283 0.492 1
Na5 0.993 0.952 0.649 1
Na6 0.007 0.048 0.149 1
Na7 0.007 0.452 0.649 1
Na8 0.993 0.548 0.149 1
Na9 0.996 0.861 0.828 1
Na10 0.004 0.139 0.328 1
Na11 0.004 0.361 0.828 1
Na12 0.996 0.639 0.328 1
Na13 0.480 0.798 0.729 1
Na14 0.520 0.202 0.229 1
Na15 0.520 0.298 0.729 1
Na16 0.480 0.702 0.229 1
Na17 0.540 0.968 0.888 1
Na18 0.460 0.032 0.388 1
Na19 0.460 0.468 0.888 1
Na20 0.540 0.532 0.388 1
Na21 0.500 0.887 0.550 1
Na22 0.500 0.113 0.050 1
Na23 0.500 0.387 0.550 1
Na24 0.500 0.613 0.050 1
Ho1 0.928 0.611 0.804 1
Ho2 0.072 0.389 0.304 1
Ho3 0.072 0.111 0.804 1
Ho4 0.928 0.889 0.304 1
Ho5 0.558 0.638 0.573 1
Ho6 0.442 0.362 0.073 1
Ho7 0.442 0.138 0.573 1
Ho8 0.558 0.862 0.073 1
P1 0.969 0.475 0.981 1
P2 0.031 0.525 0.481 1
P3 0.031 0.975 0.981 1
P4 0.969 0.025 0.481 1
P5 0.991 0.223 0.653 1
P6 0.009 0.777 0.153 1
P7 0.009 0.723 0.653 1
P8 0.991 0.277 0.153 1
P9 0.479 0.526 0.725 1
P10 0.521 0.474 0.225 1
P11 0.521 0.026 0.725 1
P12 0.479 0.974 0.225 1
P13 0.461 0.727 0.896 1
P14 0.539 0.273 0.396 1
P15 0.539 0.227 0.896 1
P16 0.461 0.773 0.396 1
O1 0.576 0.808 0.851 1
O2 0.424 0.192 0.351 1
O3 0.424 0.308 0.851 1
O4 0.576 0.692 0.351 1
O5 0.698 0.472 0.764 1
O6 0.302 0.528 0.264 1
O7 0.302 0.972 0.764 1
O8 0.698 0.028 0.264 1
O9 0.881 0.880 0.995 1
O10 0.119 0.120 0.495 1
O11 0.119 0.380 0.995 1
O12 0.881 0.620 0.495 1
O13 0.794 0.777 0.611 1
O14 0.206 0.223 0.111 1
O15 0.206 0.277 0.611 1
O16 0.794 0.723 0.111 1
O17 0.684 0.459 0.000 1
O18 0.316 0.541 0.500 1
O19 0.316 0.959 0.000 1
O20 0.684 0.041 0.500 1
O21 0.918 0.443 0.527 1
O22 0.082 0.557 0.027 1
O23 0.082 0.943 0.527 1
O24 0.918 0.057 0.027 1
O25 0.775 0.999 0.761 1
O26 0.225 0.001 0.261 1
O27 0.225 0.499 0.761 1
O28 0.775 0.501 0.261 1
O29 0.612 0.632 0.884 1
O30 0.388 0.368 0.384 1
O31 0.388 0.132 0.884 1
O32 0.612 0.868 0.384 1
O33 0.533 0.635 0.730 1
O34 0.467 0.365 0.230 1
O35 0.467 0.135 0.730 1
O36 0.533 0.865 0.230 1
O37 0.953 0.615 0.647 1
O38 0.047 0.385 0.147 1
O39 0.047 0.115 0.647 1
O40 0.953 0.885 0.147 1
O41 0.822 0.209 0.875 1
O42 0.178 0.791 0.375 1
O43 0.178 0.709 0.875 1
O44 0.822 0.291 0.375 1
O45 0.991 0.254 0.733 1
O46 0.009 0.746 0.233 1
O47 0.009 0.754 0.733 1
O48 0.991 0.246 0.233 1
O49 0.527 0.996 0.643 1
O50 0.473 0.004 0.143 1
O51 0.473 0.496 0.643 1
O52 0.527 0.504 0.143 1
O53 0.004 0.998 0.899 1
O54 0.996 0.002 0.399 1
O55 0.996 0.498 0.899 1
O56 0.004 0.502 0.399 1
O57 0.266 0.750 0.618 1
O58 0.734 0.250 0.118 1
O59 0.734 0.250 0.618 1
O60 0.266 0.750 0.118 1
O61 0.469 0.750 0.979 1
O62 0.531 0.250 0.479 1
O63 0.531 0.250 0.979 1
O64 0.469 0.750 0.479 1
```



No. 7
Compound: Na3HoSi2O7
Source: Materials Project
Functional: GGA-PBE
Structure: optimized geometry

Calculated values
Space group: P6_3/m, No. 176
Magnetic moment in Bohr magnetons per cell: 0.002
Energy relative to the elements in eV per atom: -3.058
Uncorrected energy in eV per atom: -6.845

Cell and atoms, written as CIF:
```
data_Na3HoSi2O7
_chemical_formula_sum 'Na18 Ho6 Si12 O42'
_cell_length_a 9.498
_cell_length_b 9.498
_cell_length_c 13.890
_cell_angle_alpha 90.00
_cell_angle_beta 90.00
_cell_angle_gamma 120.00
_symmetry_space_group_name_H-M 'P 1'
_symmetry_Int_Tables_number 1
loop_
_symmetry_equiv_pos_as_xyz
'x,y,z'
loop_
_atom_site_label
_atom_site_fract_x
_atom_site_fract_y
_atom_site_fract_z
_atom_site_occupancy
Na1 0.000 0.000 0.500 1
Na2 0.000 0.000 0.000 1
Na3 0.667 0.333 0.750 1
Na4 0.333 0.667 0.250 1
Na5 0.667 0.333 0.250 1
Na6 0.333 0.667 0.750 1
Na7 0.317 0.986 0.411 1
Na8 0.014 0.331 0.411 1
Na9 0.669 0.683 0.411 1
Na10 0.683 0.014 0.911 1
Na11 0.986 0.669 0.911 1
Na12 0.331 0.317 0.911 1
Na13 0.683 0.014 0.589 1
Na14 0.986 0.669 0.589 1
Na15 0.331 0.317 0.589 1
Na16 0.317 0.986 0.089 1
Na17 0.014 0.331 0.089 1
Na18 0.669 0.683 0.089 1
Ho1 0.000 0.000 0.250 1
Ho2 0.000 0.000 0.750 1
Ho3 0.667 0.333 0.519 1
Ho4 0.333 0.667 0.019 1
Ho5 0.333 0.667 0.481 1
Ho6 0.667 0.333 0.981 1
Si1 0.982 0.654 0.359 1
Si2 0.346 0.328 0.359 1
Si3 0.672 0.018 0.359 1
Si4 0.018 0.346 0.859 1
Si5 0.654 0.672 0.859 1
Si6 0.328 0.982 0.859 1
Si7 0.018 0.346 0.641 1
Si8 0.654 0.672 0.641 1
Si9 0.328 0.982 0.641 1
Si10 0.982 0.654 0.141 1
Si11 0.346 0.328 0.141 1
Si12 0.672 0.018 0.141 1
O1 0.829 0.558 0.434 1
O2 0.442 0.270 0.434 1
O3 0.730 0.171 0.434 1
O4 0.171 0.442 0.934 1
O5 0.558 0.730 0.934 1
O6 0.270 0.829 0.934 1
O7 0.171 0.442 0.566 1
O8 0.558 0.730 0.566 1
O9 0.270 0.829 0.566 1
O10 0.829 0.558 0.066 1
O11 0.442 0.270 0.066 1
O12 0.730 0.171 0.066 1
O13 0.049 0.850 0.360 1
O14 0.150 0.199 0.360 1
O15 0.801 0.951 0.360 1
O16 0.951 0.150 0.860 1
O17 0.850 0.801 0.860 1
O18 0.199 0.049 0.860 1
O19 0.951 0.150 0.640 1
O20 0.850 0.801 0.640 1
O21 0.199 0.049 0.640 1
O22 0.049 0.850 0.140 1
O23 0.150 0.199 0.140 1
O24 0.801 0.951 0.140 1
O25 0.610 0.485 0.621 1
O26 0.515 0.125 0.621 1
O27 0.875 0.390 0.621 1
O28 0.390 0.515 0.121 1
O29 0.485 0.875 0.121 1
O30 0.125 0.610 0.121 1
O31 0.390 0.515 0.379 1
O32 0.485 0.875 0.379 1
O33 0.125 0.610 0.379 1
O34 0.610 0.485 0.879 1
O35 0.515 0.125 0.879 1
O36 0.875 0.390 0.879 1
O37 0.900 0.581 0.250 1
O38 0.419 0.319 0.250 1
O39 0.681 0.100 0.250 1
O40 0.100 0.419 0.750 1
O41 0.581 0.681 0.750 1
O42 0.319 0.900 0.750 1
```



no.,MP2020-corrected energy (eV/cell)
1,-16.756
2,-166.674
3,-333.505
4,-342.567
5,-556.961
6,-802.163
7,-562.775